(1)
ErCdCu4: optimized geometry, r2SCAN.

Summary:
energy of formation from the pure elements = -1.62 eV/f.u.
electronic total energy = -16.51 eV per atom
total magnetic moment = 0.000 μB/atom

The structure in CIF format:
```
data_ErCdCu4
_symmetry_space_group_name_H-M 'F -4 3 m'
_symmetry_Int_Tables_number 216
_symmetry_space_group_name_Hall 'F -4 2 3'
_cell_length_a 7.112
_cell_length_b 7.112
_cell_length_c 7.112
_cell_angle_alpha 90.00
_cell_angle_beta 90.00
_cell_angle_gamma 90.00
loop_
_atom_site_label
_atom_site_type_symbol
_atom_site_fract_x
_atom_site_fract_y
_atom_site_fract_z
_atom_site_occupancy
Er1 Er 0.000 0.000 0.000 1
Cd1 Cd 0.250 0.250 0.750 1
Cu1 Cu 0.124 0.124 0.376 1
```

=====

(2)
Er2CdCu2: optimized geometry, r2SCAN.

Summary:
energy of formation from the pure elements = -1.67 eV/f.u.
electronic total energy = -22.26 eV per atom
total magnetic moment = 0.000 μB/atom

The structure in CIF format:
```
data_Er2CdCu2
_symmetry_space_group_name_H-M 'P 4/m b m'
_symmetry_Int_Tables_number 127
_symmetry_space_group_name_Hall '-P 4 2ab'
_cell_length_a 7.407
_cell_length_b 7.407
_cell_length_c 3.669
_cell_angle_alpha 90.00
_cell_angle_beta 90.00
_cell_angle_gamma 90.00
loop_
_atom_site_label
_atom_site_type_symbol
_atom_site_fract_x
_atom_site_fract_y
_atom_site_fract_z
_atom_site_occupancy
Er1 Er 0.174 0.326 0.000 1
Cd1 Cd 0.000 0.000 0.500 1
Cu1 Cu 0.120 0.620 0.500 1
```